Record 1
VASP calculation (PBE with a Hubbard U) on Li3Mn3O8 after structural relaxation.

- size of the total moment (μB/cell) = 16.0
- ΔE to the lowest computed polymorph (meV per atom) = 46

Cell and atoms, written as CIF:
```
data_Li3Mn3O8
_cell_length_a 5.7888
_cell_length_b 5.7888
_cell_length_c 9.9450
_cell_angle_alpha 90.00
_cell_angle_beta 90.00
_cell_angle_gamma 120.00
_space_group_name_H-M_alt 'P 63 m c'
_space_group_IT_number 186
_space_group_name_Hall 'P 6c -2c'
loop_
_atom_site_label
_atom_site_fract_x
_atom_site_fract_y
_atom_site_fract_z
Li1 0.0000 0.0000 0.0000
Li2 0.3333 0.6667 0.0072
Li3 0.3333 0.6667 0.3924
Mn1 0.1675 0.3349 0.7167
O1 0.0000 0.0000 0.3169
O2 0.0308 0.5154 0.8231
O3 0.1552 0.3105 0.1143
O4 0.3333 0.6667 0.6117
```

=====

Record 2
VASP calculation (PBE with a Hubbard U) on Li9Mn14O32 after structural relaxation.

- size of the total moment (μB/cell) = 86.0

Cell and atoms, written as CIF:
```
data_Li9Mn14O32
_cell_length_a 10.174
_cell_length_b 5.865
_cell_length_c 19.436
_cell_angle_alpha 90.00
_cell_angle_beta 100.26
_cell_angle_gamma 90.00
_space_group_name_H-M_alt 'C 1 m 1'
_space_group_IT_number 8
_space_group_name_Hall 'C -2y'
loop_
_atom_site_label
_atom_site_fract_x
_atom_site_fract_y
_atom_site_fract_z
Li1 0.000 0.000 0.000
Li2 0.000 0.500 0.492
Li3 0.059 0.000 0.186
Li4 0.155 0.500 0.965
Li5 0.249 0.000 0.747
Li6 0.256 0.500 0.248
Li7 0.280 0.000 0.339
Li8 0.304 0.500 0.432
Li9 0.310 0.000 0.929
Mn1 0.030 0.250 0.339
Mn2 0.031 0.000 0.590
Mn3 0.031 0.500 0.089
Mn4 0.032 0.254 0.840
Mn5 0.155 0.000 0.461
Mn6 0.277 0.500 0.840
Mn7 0.279 0.253 0.089
Mn8 0.280 0.250 0.589
Mn9 0.404 0.500 0.714
Mn10 0.405 0.000 0.217
O1 0.074 0.000 0.780
O2 0.078 0.500 0.280
O3 0.086 0.000 0.287
O4 0.095 0.500 0.787
O5 0.103 0.223 0.532
O6 0.103 0.270 0.037
O7 0.198 0.228 0.404
O8 0.208 0.269 0.892
O9 0.214 0.500 0.142
O10 0.216 0.000 0.644
O11 0.236 0.000 0.149
O12 0.237 0.500 0.649
O13 0.325 0.000 0.529
O14 0.332 0.500 0.037
O15 0.345 0.000 0.037
O16 0.345 0.500 0.536
O17 0.353 0.279 0.780
O18 0.361 0.229 0.275
O19 0.455 0.281 0.648
O20 0.457 0.221 0.148
O21 0.464 0.500 0.892
O22 0.474 0.000 0.391
O23 0.477 0.000 0.892
O24 0.482 0.500 0.399
```

=====

Number 1: total energy -6.3813 eV per atom, ΔH_f (0 K) -1932 meV/atom. Number 2: total energy -6.7178 eV per atom, ΔH_f (0 K) -2019 meV/atom.